(1)
# PBE La4Ru6O19, relaxed
data_La4Ru6O19
_symmetry_space_group_name_H-M 'I 2 3'
_symmetry_Int_Tables_number 197
_symmetry_space_group_name_Hall 'I 2 2 3'
_cell_length_a 9.091
_cell_length_b 9.091
_cell_length_c 9.091
_cell_angle_alpha 90.00
_cell_angle_beta 90.00
_cell_angle_gamma 90.00
loop_
_atom_site_label
_atom_site_type_symbol
_atom_site_fract_x
_atom_site_fract_y
_atom_site_fract_z
La1 La 0.160 0.160 0.840
Ru1 Ru 0.000 0.138 0.500
O1 O 0.000 0.000 0.000
O2 O 0.000 0.000 0.326
O3 O 0.016 0.284 0.343
# formation energy = -2.32 eV per atom
# E = -447.18 eV/cell

(2)
# PBE La3Ru3O11, relaxed
data_La3Ru3O11
_symmetry_space_group_name_H-M 'P n -3'
_symmetry_Int_Tables_number 201
_cell_length_a 9.544
_cell_length_b 9.544
_cell_length_c 9.544
_cell_angle_alpha 90.00
_cell_angle_beta 90.00
_cell_angle_gamma 90.00
loop_
_symmetry_equiv_pos_as_xyz
'x,y,z'
'-x,-y,-z'
'-x+1/2,-y+1/2,z'
'x+1/2,y+1/2,-z'
'x,-y+1/2,-z+1/2'
'-x,y+1/2,z+1/2'
'-x+1/2,y,-z+1/2'
'x+1/2,-y,z+1/2'
'z,x,y'
'-z,-x,-y'
'z,-x+1/2,-y+1/2'
'-z,x+1/2,y+1/2'
'-z+1/2,x,-y+1/2'
'z+1/2,-x,y+1/2'
'-z+1/2,-x+1/2,y'
'z+1/2,x+1/2,-y'
'y,z,x'
'-y,-z,-x'
'-y+1/2,z,-x+1/2'
'y+1/2,-z,x+1/2'
'-y+1/2,-z+1/2,x'
'y+1/2,z+1/2,-x'
'y,-z+1/2,-x+1/2'
'-y,z+1/2,x+1/2'
loop_
_atom_site_label
_atom_site_type_symbol
_atom_site_fract_x
_atom_site_fract_y
_atom_site_fract_z
La1 La 0.000 0.000 0.000
La2 La 0.114 0.114 0.386
Ru1 Ru 0.089 0.750 0.250
O1 O 0.038 0.080 0.747
O2 O 0.124 0.750 0.750
O3 O 0.145 0.145 0.145
# formation energy = -2.55 eV per atom
# E = -531.27 eV/cell

(3)
# PBE La7Ru3O18, relaxed
data_La7Ru3O18
_symmetry_space_group_name_H-M 'R -3 c'
_symmetry_Int_Tables_number 167
_symmetry_space_group_name_Hall '-R 3 2"c'
_cell_length_a 9.9140
_cell_length_b 9.9140
_cell_length_c 56.7356
_cell_angle_alpha 90.00
_cell_angle_beta 90.00
_cell_angle_gamma 120.00
loop_
_atom_site_label
_atom_site_type_symbol
_atom_site_fract_x
_atom_site_fract_y
_atom_site_fract_z
La1 La 0.0000 0.0000 0.1034
La2 La 0.0045 0.2815 0.2172
La3 La 0.0103 0.3741 0.6876
Ru1 Ru 0.0000 0.0000 0.0000
Ru2 Ru 0.0000 0.0000 0.1614
Ru3 Ru 0.0000 0.3301 0.7500
O1 O 0.0006 0.1685 0.9807
O2 O 0.0029 0.2046 0.7776
O3 O 0.0243 0.4828 0.7745
O4 O 0.0647 0.1872 0.8602
O5 O 0.0671 0.1929 0.1785
O6 O 0.0852 0.5224 0.5838
# formation energy = -3.02 eV per atom
# E = -2682.15 eV/cell

(4)
# PBE La3RuO7, relaxed
data_La3RuO7
_symmetry_space_group_name_H-M 'P 1 21/c 1'
_symmetry_Int_Tables_number 14
_cell_length_a 8.912
_cell_length_b 5.768
_cell_length_c 12.633
_cell_angle_alpha 90.00
_cell_angle_beta 104.47
_cell_angle_gamma 90.00
loop_
_symmetry_equiv_pos_as_xyz
'x,y,z'
'-x,-y,-z'
'-x,y+1/2,-z+1/2'
'x,-y+1/2,z+1/2'
loop_
_atom_site_label
_atom_site_type_symbol
_atom_site_fract_x
_atom_site_fract_y
_atom_site_fract_z
La1 La 0.001 0.011 0.141
La2 La 0.296 0.018 0.427
La3 La 0.430 0.514 0.632
Ru1 Ru 0.215 0.545 0.168
O1 O 0.009 0.069 0.331
O2 O 0.172 0.738 0.533
O3 O 0.191 0.241 0.577
O4 O 0.239 0.648 0.747
O5 O 0.251 0.117 0.808
O6 O 0.436 0.552 0.177
O7 O 0.493 0.741 0.489
# formation energy = -3.14 eV per atom
# energy above the most stable polymorph in this dataset = 0.0166 eV per atom
# E = -353.69 eV/cell

(5)
# PBE La3RuO7, relaxed
data_La3RuO7
_symmetry_space_group_name_H-M 'C m c m'
_symmetry_Int_Tables_number 63
_symmetry_space_group_name_Hall '-C 2c 2'
_cell_length_a 11.198
_cell_length_b 7.526
_cell_length_c 7.702
_cell_angle_alpha 90.00
_cell_angle_beta 90.00
_cell_angle_gamma 90.00
loop_
_atom_site_label
_atom_site_type_symbol
_atom_site_fract_x
_atom_site_fract_y
_atom_site_fract_z
La1 La 0.000 0.000 0.000
La2 La 0.221 0.312 0.250
Ru1 Ru 0.000 0.500 0.000
O1 O 0.000 0.421 0.250
O2 O 0.124 0.317 0.540
O3 O 0.131 0.030 0.250
# formation energy = -3.15 eV per atom
# energy above the most stable polymorph in this dataset = 0.0000 eV per atom
# E = -354.42 eV/cell

(6)
# PBE La8Ru4O21, relaxed
data_La8Ru4O21
_symmetry_space_group_name_H-M 'P 63 c m'
_symmetry_Int_Tables_number 185
_symmetry_space_group_name_Hall 'P 6c -2'
_cell_length_a 9.9478
_cell_length_b 9.9478
_cell_length_c 10.9183
_cell_angle_alpha 90.00
_cell_angle_beta 90.00
_cell_angle_gamma 120.00
loop_
_atom_site_label
_atom_site_type_symbol
_atom_site_fract_x
_atom_site_fract_y
_atom_site_fract_z
La1 La 0.0000 0.2427 0.0000
La2 La 0.0000 0.3951 0.3612
La3 La 0.3333 0.6667 0.1538
Ru1 Ru 0.0000 0.0000 0.2684
Ru2 Ru 0.0000 0.3554 0.6700
O1 O 0.0000 0.1582 0.3829
O2 O 0.0000 0.1595 0.6594
O3 O 0.0000 0.4390 0.1482
O4 O 0.1581 0.4576 0.8029
O5 O 0.1632 0.4373 0.5385
# formation energy = -2.94 eV per atom
# E = -526.49 eV/cell

(7)
# PBE LaRuO3, relaxed
data_LaRuO3
_symmetry_space_group_name_H-M 'P n m a'
_symmetry_Int_Tables_number 62
_cell_length_a 5.913
_cell_length_b 7.925
_cell_length_c 5.476
_cell_angle_alpha 90.00
_cell_angle_beta 90.00
_cell_angle_gamma 90.00
loop_
_symmetry_equiv_pos_as_xyz
'x,y,z'
'-x,-y,-z'
'-x+1/2,-y,z+1/2'
'x+1/2,y,-z+1/2'
'x+1/2,-y+1/2,-z+1/2'
'-x+1/2,y+1/2,z+1/2'
'-x,y+1/2,-z'
'x,-y+1/2,z'
loop_
_atom_site_label
_atom_site_type_symbol
_atom_site_fract_x
_atom_site_fract_y
_atom_site_fract_z
La1 La 0.065 0.250 0.020
Ru1 Ru 0.000 0.000 0.500
O1 O 0.034 0.750 0.401
O2 O 0.201 0.550 0.808
# formation energy = -2.56 eV per atom
# E = -159.18 eV/cell

(8)
# PBE Sr3LaZnRuO8, relaxed
data_Sr3LaZnRuO8
_symmetry_space_group_name_H-M 'A m m 2'
_symmetry_Int_Tables_number 38
_cell_length_a 5.633
_cell_length_b 5.626
_cell_length_c 12.635
_cell_angle_alpha 90.00
_cell_angle_beta 90.00
_cell_angle_gamma 90.00
loop_
_symmetry_equiv_pos_as_xyz
'x,y,z'
'-x,-y,z'
'-x,y,z'
'x,-y,z'
'x,y+1/2,z+1/2'
'-x,-y+1/2,z+1/2'
'-x,y+1/2,z+1/2'
'x,-y+1/2,z+1/2'
loop_
_atom_site_label
_atom_site_type_symbol
_atom_site_fract_x
_atom_site_fract_y
_atom_site_fract_z
Sr1 Sr 0.000 0.000 0.000
Sr2 Sr 0.000 0.000 0.284
Sr3 Sr 0.500 0.000 0.786
La1 La 0.500 0.000 0.500
Zn1 Zn 0.500 0.000 0.143
Ru1 Ru 0.000 0.000 0.644
O1 O 0.000 0.000 0.480
O2 O 0.000 0.000 0.803
O3 O 0.246 0.242 0.640
O4 O 0.500 0.000 0.322
O5 O 0.500 0.000 0.975
# formation energy = -2.69 eV per atom
# E = -184.57 eV/cell